16
Lattice="3.819 0.000 0.000 0.000 7.774 0.000 0.000 2.644 12.488" Properties=species:S:1:pos:R:3 comment="SnIr2Se5, relaxed, DFT PBE" energy_ev_per_cell=-84.5 formation_enthalpy_0k_ev_per_atom=-0.68 pbc="T T T"
Se 1.910 2.663 0.345
Se 0.000 7.707 1.323
Se 0.000 7.104 5.934
Se 0.000 2.711 11.165
Se 1.910 2.223 3.557
Se 0.000 4.773 2.749
Se 0.000 3.314 6.555
Se 0.000 5.645 9.740
Se 1.910 7.755 12.144
Se 1.910 8.195 8.931
Sn 1.910 7.382 4.254
Sn 1.910 3.035 8.234
Ir 1.910 6.226 1.858
Ir 1.910 4.192 10.630
Ir 0.000 2.375 1.889
Ir 0.000 8.043 10.600